No. 1
A geometry-optimized Na3MgTaSiP2O12 structure. Source: the Materials Project database, functional GGA-PBE.

The excess energy over the best structure of this formula in the dataset is 0.000 eV per atom. Its crystal system is monoclinic.

Cell lengths 8.985, 9.024, 22.110 Å; angles 89.78, 90.00, 119.86 degrees
Positions (direct):
P: 0.335 0.375 0.422
O: 0.804 0.836 0.198
O: 0.812 0.978 0.696
O: 0.870 0.344 0.642
O: 0.173 0.700 0.755
O: 0.491 0.152 0.246
O: 0.686 0.533 0.244
O: 0.193 0.159 0.087
O: 0.523 0.862 0.077
Si: 0.298 0.003 0.255
O: 0.506 0.658 0.582
O: 0.354 0.496 0.366
Mg: 0.673 0.333 0.686
O: 0.690 0.526 0.526
O: 0.804 0.008 0.815
Mg: 0.335 0.668 0.519
Mg: 0.002 0.007 0.352
O: 0.324 0.456 0.480
Ta: 0.995 0.997 0.647
Na: 0.308 0.656 0.657
Na: 0.699 0.020 0.908
O: 0.340 0.479 0.077
O: 0.525 0.679 0.971
O: 0.836 0.526 0.026
O: 0.184 0.208 0.689
Ta: 0.673 0.336 0.480
O: 0.649 0.124 0.142
O: 0.197 0.174 0.802
O: 0.818 0.987 0.410
O: 0.847 0.533 0.744
Ta: 0.333 0.667 0.313
O: 0.197 0.046 0.587
O: 0.861 0.374 0.920
Si: 0.667 0.626 0.587
Si: 0.333 0.965 0.920
Na: 0.656 0.327 0.324
O: 0.002 0.192 0.914
O: 0.032 0.836 0.698
Ta: 0.003 0.997 0.147
Na: 0.348 0.656 0.157
Na: 0.671 0.327 0.824
O: 0.848 0.046 0.087
O: 0.646 0.514 0.646
O: 0.466 0.304 0.028
Na: 0.653 0.018 0.245
Ta: 0.663 0.336 0.980
Mg: 0.333 0.668 0.019
Na: 0.989 0.626 0.239
Si: 0.706 0.003 0.755
P: 0.000 0.708 0.754
O: 0.166 0.978 0.196
O: 0.977 0.174 0.302
O: 0.984 0.790 0.811
Na: 0.307 0.954 0.074
O: 0.471 0.326 0.745
O: 0.298 0.813 0.254
Mg: 0.004 0.007 0.852
O: 0.839 0.304 0.528
O: 0.009 0.811 0.413
Si: 0.632 0.965 0.420
O: 0.142 0.496 0.866
Na: 0.320 0.020 0.408
O: 0.471 0.163 0.529
O: 0.361 0.856 0.860
O: 0.855 0.326 0.245
O: 0.661 0.152 0.746
Na: 0.982 0.685 0.915
O: 0.190 0.192 0.414
Na: 0.996 0.006 0.490
O: 0.512 0.638 0.858
P: 0.618 0.660 0.918
O: 0.313 0.855 0.979
O: 0.125 0.638 0.358
Na: 0.704 0.685 0.415
O: 0.176 0.471 0.255
Na: 0.318 0.354 0.581
O: 0.340 0.862 0.577
Si: 0.959 0.626 0.087
Na: 0.011 0.006 0.990
O: 0.859 0.493 0.422
O: 0.155 0.679 0.471
O: 0.475 0.124 0.642
Na: 0.647 0.954 0.574
O: 0.692 0.163 0.029
P: 0.042 0.660 0.418
O: 0.542 0.855 0.479
P: 0.707 0.708 0.254
O: 0.513 0.374 0.420
P: 0.672 0.043 0.086
P: 0.006 0.292 0.250
O: 0.204 0.008 0.315
O: 0.868 0.514 0.146
O: 0.630 0.150 0.421
O: 0.474 0.344 0.142
Na: 0.036 0.354 0.081
O: 0.520 0.150 0.921
P: 0.959 0.333 0.586
O: 0.496 0.856 0.360
O: 0.802 0.811 0.913
O: 0.806 0.790 0.311
P: 0.375 0.333 0.086
Na: 0.365 0.018 0.745
Na: 0.637 0.626 0.739
O: 0.973 0.821 0.090
P: 0.041 0.375 0.922
O: 0.139 0.479 0.577
O: 0.515 0.813 0.754
Mg: 0.660 0.333 0.186
O: 0.169 0.987 0.910
O: 0.152 0.658 0.082
P: 0.287 0.292 0.750
O: 0.527 0.700 0.255
O: 0.295 0.471 0.755
O: 0.965 0.159 0.587
O: 0.634 0.493 0.922
O: 0.132 0.456 0.980
O: 0.847 0.821 0.590
O: 0.025 0.208 0.189
P: 0.371 0.043 0.586
Ta: 0.334 0.667 0.813


No. 2
A geometry-optimized Mg2Co12As7 structure. Source: the Materials Project database, functional GGA-PBE.

Its crystal system is orthorhombic.

Cell lengths 3.655, 12.023, 24.881 Å; angles 90.00, 90.00, 90.00 degrees
Positions (direct):
Co: 0.250 0.940 0.878
Co: 0.750 0.830 0.739
As: 0.250 0.873 0.530
Co: 0.750 0.327 0.040
Mg: 0.250 0.214 0.679
Mg: 0.750 0.786 0.321
Co: 0.250 0.974 0.314
Co: 0.750 0.806 0.909
Co: 0.750 0.827 0.460
Co: 0.750 0.813 0.014
As: 0.750 0.119 0.604
Co: 0.250 0.011 0.464
Mg: 0.250 0.190 0.384
Mg: 0.750 0.286 0.179
Co: 0.250 0.511 0.036
Co: 0.750 0.015 0.956
Co: 0.250 0.498 0.729
Mg: 0.750 0.810 0.616
Co: 0.250 0.420 0.349
Mg: 0.250 0.690 0.116
Co: 0.250 0.673 0.960
Co: 0.250 0.992 0.609
As: 0.750 0.638 0.740
As: 0.750 0.374 0.400
Co: 0.250 0.708 0.688
Co: 0.250 0.985 0.044
As: 0.750 0.894 0.825
As: 0.250 0.106 0.175
Co: 0.250 0.998 0.771
As: 0.750 0.127 0.470
Co: 0.750 0.080 0.849
Co: 0.250 0.485 0.456
Co: 0.750 0.292 0.312
Co: 0.750 0.330 0.761
Co: 0.750 0.060 0.122
As: 0.250 0.900 0.690
Co: 0.250 0.920 0.151
Co: 0.750 0.508 0.109
As: 0.750 0.127 0.036
Co: 0.250 0.440 0.622
Co: 0.250 0.492 0.891
Co: 0.750 0.026 0.686
Co: 0.750 0.515 0.544
As: 0.250 0.873 0.964
As: 0.250 0.381 0.104
As: 0.750 0.619 0.896
Co: 0.250 0.170 0.261
Co: 0.750 0.560 0.378
Co: 0.250 0.173 0.540
Co: 0.750 0.989 0.536
Co: 0.250 0.208 0.812
Co: 0.750 0.502 0.271
Co: 0.750 0.008 0.391
As: 0.750 0.138 0.760
Co: 0.750 0.526 0.814
As: 0.250 0.881 0.396
As: 0.750 0.394 0.675
Co: 0.750 0.002 0.229
As: 0.750 0.627 0.030
Co: 0.250 0.194 0.091
Co: 0.250 0.687 0.514
Co: 0.250 0.670 0.239
Co: 0.250 0.694 0.409
As: 0.250 0.373 0.536
Co: 0.250 0.474 0.186
As: 0.750 0.874 0.100
Co: 0.750 0.489 0.964
Co: 0.750 0.306 0.591
Co: 0.750 0.580 0.651
As: 0.250 0.362 0.260
As: 0.750 0.600 0.190
Co: 0.750 0.792 0.188
As: 0.250 0.626 0.600
As: 0.750 0.100 0.310
Mg: 0.250 0.714 0.821
Mg: 0.750 0.310 0.884
Co: 0.250 0.187 0.986
As: 0.250 0.400 0.810
As: 0.250 0.373 0.970
Co: 0.750 0.313 0.486
As: 0.250 0.862 0.240
As: 0.250 0.606 0.325
As: 0.250 0.126 0.900
As: 0.750 0.627 0.464


No. 3
A geometry-optimized Pd4Se structure. Source: the Materials Project database, functional GGA-PBE.

Its crystal system is tetragonal.

Cell lengths 5.315, 5.315, 5.762 Å; angles 90.00, 90.00, 90.00 degrees
Positions (direct):
Pd: 0.232 0.628 0.846
Pd: 0.268 0.128 0.654
Pd: 0.628 0.768 0.154
Pd: 0.732 0.872 0.654
Se: 0.000 0.000 0.000
Pd: 0.128 0.732 0.346
Pd: 0.872 0.268 0.346
Pd: 0.768 0.372 0.846
Pd: 0.372 0.232 0.154
Se: 0.500 0.500 0.500


No. 4
A geometry-optimized CaCuP4Ru2O14 structure. Source: the Materials Project database, functional GGA-PBE.

The excess energy over the best structure of this formula in the dataset is 0.024 eV per atom. Its crystal system is triclinic.

Cell lengths 5.120, 6.836, 8.585 Å; angles 93.50, 92.80, 106.39 degrees
Positions (direct):
O: 0.220 0.516 0.827
O: 0.218 0.557 0.335
O: 0.633 0.775 0.932
P: 0.005 0.651 0.271
P: 0.405 0.754 0.807
P: 0.617 0.242 0.205
O: 0.529 0.251 0.373
Ca: 0.443 0.231 0.826
Cu: 0.971 0.014 0.465
O: 0.480 0.764 0.636
O: 0.786 0.470 0.163
O: 0.798 0.099 0.189
O: 0.759 0.445 0.668
O: 0.833 0.724 0.399
O: 0.378 0.204 0.079
Ru: 0.497 0.512 0.493
O: 0.148 0.279 0.586
O: 0.124 0.819 0.165
O: 0.877 0.185 0.825
Ru: 0.995 0.992 0.010
O: 0.216 0.892 0.833
P: 0.985 0.355 0.715


No. 5
A geometry-optimized SrSi structure. Source: the Materials Project database, functional GGA-PBE.

Its crystal system is cubic.

Cell lengths 3.803, 3.803, 3.803 Å; angles 90.00, 90.00, 90.00 degrees
Positions (direct):
Si: 0.500 0.500 0.500
Sr: 0.000 0.000 0.000


No. 6
A geometry-optimized PrSBr structure. Source: the Materials Project database, functional GGA-PBE.

Its crystal system is monoclinic.

Cell lengths 7.166, 7.052, 7.124 Å; angles 80.29, 90.00, 90.00 degrees
Positions (direct):
S: 0.259 0.008 0.448
Pr: 0.465 0.710 0.681
S: 0.241 0.508 0.448
Pr: 0.035 0.210 0.681
S: 0.741 0.992 0.552
Br: 0.116 0.789 0.915
Pr: 0.965 0.790 0.319
S: 0.759 0.492 0.552
Br: 0.384 0.289 0.915
Pr: 0.535 0.290 0.319
Br: 0.884 0.211 0.085
Br: 0.616 0.711 0.085


No. 7
A geometry-optimized Zr3MnCo8 structure. Source: the Materials Project database, functional GGA-PBE.

Its crystal system is trigonal.

Cell lengths 4.807, 4.807, 8.309 Å; angles 106.82, 73.18, 120.00 degrees
Positions (direct):
Co: 0.189 0.811 0.432
Co: 0.940 0.559 0.678
Co: 0.441 0.060 0.678
Zr: 0.990 0.010 0.031
Zr: 0.507 0.493 0.479
Co: 0.689 0.311 0.933
Zr: 0.377 0.623 0.869
Co: 0.940 0.060 0.678
Mn: 0.864 0.136 0.409
Co: 0.437 0.062 0.187
Co: 0.938 0.563 0.187
Co: 0.437 0.563 0.187


No. 8
A geometry-optimized TiBe12 structure. Source: the Materials Project database, functional GGA-PBE.

The excess energy over the best structure of this formula in the dataset is 0.086 eV per atom. Its crystal system is hexagonal.

Cell lengths 4.229, 4.229, 7.329 Å; angles 90.00, 90.00, 120.00 degrees
Positions (direct):
Be: 0.000 0.500 0.241
Be: 0.333 0.667 0.000
Be: 0.000 0.000 0.347
Be: 0.500 0.000 0.241
Be: 0.500 0.500 0.759
Be: 0.667 0.333 0.500
Be: 0.500 0.000 0.759
Ti: 0.000 0.000 0.000
Be: 0.500 0.500 0.241
Be: 0.667 0.333 0.000
Be: 0.000 0.500 0.759
Be: 0.333 0.667 0.500
Be: 0.000 0.000 0.653


no.,E (eV per atom),E_form (eV/atom)
1,-7.1204,-2.8799
2,-6.0448,-0.2775
3,-5.0034,-0.2547
4,-6.9876,-2.1712
5,-3.6513,-0.0584
6,-5.5317,-2.3593
7,-7.8686,-0.2293
8,-4.1212,-0.0621